Density functional theory data (PBE) for LuHg after structural relaxation.

**Symmetry**: Pm-3m (221)
**Raw total energy**: -2.8841 eV/atom
**Formation energy from the elements**: -472 meV per atom
**V**: 24.43 Å³/atom

The structure in POSCAR format:
```
LuHg
1.0
3.6558 0.0000 0.0000
0.0000 3.6558 0.0000
0.0000 0.0000 3.6558
Lu Hg
1 1
Cartesian
1.8279 1.8279 1.8279
0.0000 0.0000 0.0000
```



Density functional theory data (PBE) for RbMg6CO8 after structural relaxation.

**Symmetry**: P4/mmm (123)
**Raw total energy**: -5.2312 eV/atom
**Formation energy from the elements**: -1863 meV per atom
**V**: 10.83 Å³/atom
**Excess energy over the best structure of this formula in the dataset**: 23 meV/atom

The structure in POSCAR format:
```
RbMg6CO8
1.0
-3.7982 7.8374 -2.2558
-3.7037 -1.2140 2.0181
1.4536 1.7806 3.7390
Mg C Rb O
6 1 1 8
Cartesian
-1.8991 3.9187 -1.1279
-0.2696 2.9464 1.2777
-2.8482 1.4490 0.4172
-2.0750 6.6717 0.2054
-3.0241 4.2020 1.7506
-4.6536 5.1743 -0.6550
-1.1250 0.2833 2.8785
0.0000 0.0000 0.0000
-2.0781 2.2500 2.3124
-2.7357 5.6449 -1.6248
-3.7509 3.3117 -0.1189
-1.8518 -0.6070 1.0090
-1.1723 4.8090 0.7416
-3.9701 6.1540 1.1888
0.7268 0.8903 1.8695
-1.0625 2.1925 -0.6311
```



Density functional theory data (PBE) for EuGaGe2O7 after structural relaxation.

**Symmetry**: P2_1/c (14)
**Raw total energy**: -7.1616 eV/atom
**Formation energy from the elements**: -2402 meV per atom
**V**: 12.90 Å³/atom

The structure in POSCAR format:
```
EuGaGe2O7
1.0
-6.1289 2.0119 -1.6926
-1.2143 -6.4746 -3.2991
-5.1307 -9.5706 7.2023
Eu O Ge Ga
4 28 8 4
Cartesian
-1.9281 -4.7609 -2.5097
-10.5458 -9.2724 4.7203
-5.7702 -9.1271 0.7389
-6.7037 -4.9062 1.4717
-7.6582 -7.5394 1.3837
-9.2049 -6.9188 -1.0892
-4.4103 -10.4803 2.1321
-5.4989 -3.2347 0.0709
-6.6218 -5.8741 -1.0699
-6.4364 -0.5536 -0.2938
-4.5485 -4.5079 2.5903
-8.0636 -3.5531 0.0786
-3.2690 -7.1145 3.2999
-6.2031 -9.5921 6.4430
-6.2708 -4.4412 -4.2324
-8.2084 -9.1329 4.3482
-6.1763 -2.3984 -2.5166
-2.6781 -6.5817 -0.9832
-7.9254 -9.5254 -0.3797
-8.7434 -12.6978 3.3478
-4.8157 -6.4939 0.8269
-9.9532 -10.4080 2.3196
-2.5206 -3.6254 -0.1090
-6.0375 -13.4798 2.5045
-6.2976 -11.6349 4.7273
-5.8521 -8.1592 3.2806
-4.9810 -8.1991 -1.5134
-3.7305 -1.3356 -1.1372
-4.2654 -4.9004 -2.1375
-6.9750 -10.7986 2.1397
-9.7958 -7.4516 3.1939
-7.4929 -5.8342 3.7240
-5.1382 -3.7318 -3.1221
-3.6434 -5.8862 2.0428
-3.8761 -2.5451 0.2167
-8.5977 -11.4882 1.9939
-8.8305 -8.1472 0.1679
-4.4708 -7.9773 4.3621
-8.0030 -6.0560 -2.1514
-7.3356 -10.3016 5.3327
-5.4240 -11.7772 3.0182
-7.7745 -7.6456 3.3019
-7.0498 -2.2561 -0.8076
-4.6994 -6.3877 -1.0913
```



Density functional theory data (PBE) for U3Co3Sb4 after structural relaxation.

**Symmetry**: I-43d (220)
**Raw total energy**: -7.5823 eV/atom
**Formation energy from the elements**: -488 meV per atom
**V**: 20.22 Å³/atom

The structure in POSCAR format:
```
U3Co3Sb4
1.0
4.3814 -3.7986 5.6113
4.1950 6.2465 -2.9149
-6.8617 2.6730 3.2992
U Sb Co
6 8 6
Cartesian
3.3115 3.3131 2.5581
4.0247 -1.4280 4.5936
2.5028 5.6591 -1.0243
-4.3842 2.1701 3.9253
0.5706 1.1641 5.1774
-0.8814 4.4844 2.7569
0.5721 1.7085 2.0003
2.8264 2.4912 -0.5238
-2.3817 -0.1180 5.0042
1.4294 4.2689 4.9982
5.0171 0.5920 2.2818
1.0491 -1.4546 3.3546
-2.7329 2.3758 1.1647
-0.6354 5.4990 -0.2928
-1.5968 1.8078 3.4376
-0.7882 -0.5382 7.0200
2.5961 0.6366 3.2388
6.0989 2.9509 2.0704
1.1441 3.9568 0.8183
-2.3101 6.5489 1.4021
```